# GGA-PBE SrUO4, optimized geometry
# Volume = 12.9 Å³/atom
# Total energy after the MP2020 corrections = -0.651 Ry/atom
# Energy relative to the elements = -327.03 kJ per mole of atoms
# Density = 8374 kg/m3
data_SrUO4
_cell_length_a 8.153
_cell_length_b 3.586
_cell_length_c 6.367
_cell_angle_alpha 90.00
_cell_angle_beta 123.89
_cell_angle_gamma 90.00
_symmetry_space_group_name_H-M 'C 1 2/m 1'
_symmetry_Int_Tables_number 12
loop_
_symmetry_equiv_pos_as_xyz
'x,y,z'
'-x,-y,-z'
'-x,y,-z'
'x,-y,z'
'x+1/2,y+1/2,z'
'-x+1/2,-y+1/2,-z'
'-x+1/2,y+1/2,-z'
'x+1/2,-y+1/2,z'
loop_
_atom_site_label
_atom_site_type_symbol
_atom_site_fract_x
_atom_site_fract_y
_atom_site_fract_z
Sr1 Sr 0.000 0.000 0.000
U1 U 0.000 0.000 0.500
O1 O 0.086 0.500 0.384
O2 O 0.229 0.000 0.838